(1)
First-principles (PBE+U) data for an optimized crystal structure of Li2Mn3CrO8, as listed in the Materials Project.

a = 5.9339 Å, b = 5.9339 Å, c = 14.4743 Å
α = 90.00°, β = 90.00°, γ = 120.00°
With the nearest neighbours (Å) after each atom.
Space group R-3m (No. 166, hexagonal axes)
One atom of each set of equivalent atoms:
Li1 0.0000 0.0000 0.1220  4 O 2.00
Mn1 0.0000 0.5000 0.0000  6 O 1.97-2.02
Cr1 0.0000 0.0000 0.5000  6 O 2.02
O1 0.0000 0.0000 0.2599  1 Li 2.00, 3 Mn 2.02
O2 0.0346 0.5173 0.2573  2 Mn 1.97, 1 Li 2.00, 1 Cr 2.02

V   10.51 A^3/atom
Offset from the most stable computed form   0.0131 eV/atom
E_form   -2130 meV per atom
Electronic total energy   -6.99 eV per atom
Crystal system   trigonal

---

(2)
First-principles (PBE+U) data for an optimized crystal structure of Li32Mn5Cr11O48, as listed in the Materials Project.

a = 5.0415 Å, b = 8.6732 Å, c = 38.4301 Å
α = 90.00°, β = 91.97°, γ = 90.00°
With the nearest neighbours (Å) after each atom.
Space group C2 (No. 5)
One atom of each set of equivalent atoms:
Li1 0.0000 0.9996 0.0000  6 O 2.10-2.12
Li2 0.0000 0.5000 0.5000  6 O 2.08-2.11
Li3 0.0570 0.3392 0.1873  6 O 2.06-2.26
Li4 0.0596 0.8386 0.6873  6 O 2.06-2.23
Li5 0.0618 0.4995 0.6874  6 O 2.04-2.19
Li6 0.0630 0.9996 0.1874  6 O 2.03-2.18
Li7 0.0654 0.1610 0.6876  6 O 2.05-2.23
Li8 0.0680 0.6609 0.1875  6 O 2.05-2.24
Li9 0.1257 0.9976 0.3750  6 O 2.08-2.12
Li10 0.1266 0.4974 0.8751  6 O 2.07-2.14
Li11 0.1829 0.1595 0.0624  6 O 2.06-2.24
Li12 0.1844 0.6595 0.5624  6 O 2.06-2.22
Li13 0.1881 0.0023 0.5625  6 O 2.05-2.20
Li14 0.1883 0.4994 0.0625  6 O 2.04-2.20
Li15 0.1894 0.3384 0.5626  6 O 2.07-2.22
Li16 0.1912 0.8408 0.0626  6 O 2.06-2.19
Li17 0.2490 0.4994 0.2500  6 O 2.07-2.13
Mn1 0.0000 0.1666 0.5000  6 O 1.94-1.95
Mn2 0.1251 0.6676 0.3749  6 O 1.92-1.96
Mn3 0.1257 0.1670 0.8751  6 O 1.93-1.95
Cr1 0.0000 0.3291 0.0000  6 O 1.89-1.99
Cr2 0.0000 0.6707 0.0000  6 O 1.89-1.99
Cr3 0.0000 0.8327 0.5000  6 O 1.95-1.96
Cr4 0.1251 0.3296 0.3750  6 O 1.90-1.99
Cr5 0.1270 0.8294 0.8750  6 O 1.90-1.99
Cr6 0.2443 0.8336 0.2498  6 O 1.89-1.99
Cr7 0.2446 0.6650 0.7499  6 O 1.89-1.99
O1 0.0081 0.4998 0.5968  1 Mn 1.95, 1 Cr 1.97, 4 Li 2.05-2.15
O2 0.0086 0.0010 0.0963  1 Mn 1.95, 1 Cr 1.99, 4 Li 2.04-2.13
O3 0.0387 0.8198 0.5966  1 Mn 1.92, 1 Cr 1.99, 2 Li 2.06-2.08
O4 0.0409 0.3204 0.0967  1 Mn 1.93, 1 Cr 1.97, 2 Li 2.06-2.08
O5 0.0439 0.1799 0.5972  1 Cr 1.90, 1 Mn 1.96, 2 Li 2.07-2.11
O6 0.0463 0.6819 0.0970  1 Cr 1.90, 1 Mn 1.94, 1 Li 2.06
O7 0.0694 0.6754 0.2783  2 Cr 1.89-1.98, 2 Li 2.06-2.10
O8 0.0701 0.8238 0.7783  2 Cr 1.89-1.98, 2 Li 2.07-2.10
O9 0.0782 0.1787 0.7778  2 Cr 1.95-1.97, 2 Li 2.06-2.09
O10 0.0795 0.3217 0.2777  2 Cr 1.96-1.97, 3 Li 2.07-2.18
O11 0.1158 0.5049 0.7790  2 Cr 1.91-1.99, 4 Li 2.04-2.14
O12 0.1173 0.9941 0.2788  2 Cr 1.91-1.99, 3 Li 2.04-2.13
O13 0.1327 0.4999 0.9715  2 Cr 1.97, 4 Li 2.04-2.14
O14 0.1346 0.0001 0.4713  1 Mn 1.95, 1 Cr 1.96, 4 Li 2.05-2.13
O15 0.1627 0.1815 0.9717  2 Cr 1.89-1.99, 2 Li 2.06-2.10
O16 0.1627 0.8181 0.9716  2 Cr 1.89-1.99, 2 Li 2.07-2.10
O17 0.1706 0.3213 0.4719  1 Mn 1.94, 1 Cr 1.95, 2 Li 2.08-2.09
O18 0.1721 0.6771 0.4719  1 Mn 1.94, 1 Cr 1.95, 3 Li 2.07-2.15
O19 0.2033 0.1793 0.1528  1 Cr 1.91, 1 Mn 1.95, 2 Li 2.07-2.11
O20 0.2062 0.6798 0.6530  1 Cr 1.90, 1 Mn 1.96, 2 Li 2.06-2.11
O21 0.2101 0.8203 0.1533  1 Mn 1.93, 1 Cr 1.99, 3 Li 2.05-2.15
O22 0.2111 0.3198 0.6536  1 Mn 1.92, 1 Cr 1.99, 2 Li 2.05-2.08
O23 0.2414 0.9996 0.6534  1 Mn 1.95, 1 Cr 1.97, 4 Li 2.04-2.14
O24 0.2450 0.4992 0.1533  1 Mn 1.95, 1 Cr 1.96, 4 Li 2.03-2.15

V   8.75 A^3/atom
Offset from the most stable computed form   0.0000 eV/atom
E_form   -2215 meV per atom
Electronic total energy   -6.25 eV per atom
Crystal system   monoclinic

---

(3)
First-principles (PBE+U) data for an optimized crystal structure of Li2Mn3CrO8, as listed in the Materials Project.

a = 8.3067 Å, b = 8.3067 Å, c = 8.5018 Å
α = 90.00°, β = 90.00°, γ = 90.00°
With the nearest neighbours (Å) after each atom.
Space group P4_32_12 (No. 96)
One atom of each set of equivalent atoms:
Li1 0.0010 0.2477 0.3772  4 O 1.97-2.04
Mn1 0.1231 0.3769 0.7472  6 O 1.90-1.98
Mn2 0.1272 0.1272 0.0000  6 O 1.97-2.16
Cr1 0.1265 0.8735 0.2500  6 O 1.99-2.04
O1 0.1093 0.6294 0.2677  2 Mn 1.94-1.96, 1 Li 1.99, 1 Cr 2.04
O2 0.1088 0.8562 0.4873  2 Mn 1.94-1.97, 1 Li 2.03, 1 Cr 2.03
O3 0.1123 0.1481 0.7469  1 Mn 1.90, 1 Li 1.97, 1 Cr 1.99
O4 0.1133 0.3657 0.9801  3 Mn 1.97-1.99, 1 Li 2.04

V   10.48 A^3/atom
Offset from the most stable computed form   0.0000 eV/atom
E_form   -2143 meV per atom
Electronic total energy   -7.00 eV per atom
Crystal system   tetragonal

---

(4)
First-principles (PBE+U) data for an optimized crystal structure of Li8Mn13Cr3O32, as listed in the Materials Project.

a = 11.7878 Å, b = 11.6456 Å, c = 10.3580 Å
α = 90.00°, β = 123.89°, γ = 90.00°
With the nearest neighbours (Å) after each atom.
Space group C2/m (No. 12)
One atom of each set of equivalent atoms:
Li1 0.1823 0.0000 0.1126  4 O 1.97-2.02
Li2 0.1840 0.2501 0.6165  4 O 1.99-2.07
Li3 0.1848 0.5000 0.1161  4 O 1.98-2.07
Mn1 0.0003 0.1253 0.2501  6 O 1.94-1.97
Mn2 0.0000 0.5000 0.5000  6 O 1.99-2.19
Mn3 0.0028 0.3760 0.7549  6 O 1.93-1.98
Mn4 0.2487 0.5000 0.4989  4 O 1.97-1.98
Mn5 0.2500 0.2500 0.0000  4 O 1.97
Cr1 0.0000 0.0000 0.5000  6 O 2.03
Cr2 0.0000 0.2486 0.0000  6 O 2.01-2.04
O1 0.1043 0.0000 0.7357  2 Mn 1.97, 1 Cr 2.03, 1 Li 2.07
O2 0.1049 0.2497 0.2364  2 Mn 1.96-1.98, 1 Cr 2.04, 1 Li 2.07
O3 0.1051 0.5000 0.2421  2 Mn 1.94, 1 Li 1.99
O4 0.1058 0.0000 0.2438  2 Mn 1.94, 1 Li 2.01
O5 0.1057 0.2507 0.7448  2 Mn 1.94, 1 Li 2.00
O6 0.1123 0.3872 0.4742  3 Mn 1.97-1.99, 1 Li 2.01
O7 0.1115 0.5000 0.7539  2 Mn 1.93, 1 Li 2.02
O8 0.1166 0.1356 0.9759  2 Mn 1.95-1.97, 1 Li 1.97, 1 Cr 2.02
O9 0.1171 0.3629 0.9798  2 Mn 1.94-1.97, 1 Li 1.98, 1 Cr 2.01
O10 0.1176 0.1142 0.4770  2 Mn 1.96-1.97, 1 Li 1.99, 1 Cr 2.03

V   10.54 A^3/atom
E_form   -2128 meV per atom
Electronic total energy   -6.98 eV per atom
Crystal system   monoclinic

---

(5)
First-principles (PBE+U) data for an optimized crystal structure of Li2MnCrO4, as listed in the Materials Project.

a = 4.1004 Å, b = 4.1004 Å, c = 8.8115 Å
α = 90.00°, β = 90.00°, γ = 90.00°
With the nearest neighbours (Å) after each atom.
Space group I-4m2 (No. 119)
One atom of each set of equivalent atoms:
Li1 0.0000 0.0000 0.0000  4 O 2.06
Li2 0.0000 0.5000 0.2500  4 O 2.06
Mn1 0.0000 0.0000 0.5000  6 O 2.02-2.06
Cr1 0.0000 0.5000 0.7500  6 O 2.02-2.06
O1 0.0000 0.0000 0.2704  1 Mn 2.02, 2 Cr 2.06, 2 Li 2.06
O2 0.0000 0.5000 0.5205  1 Cr 2.02, 2 Li 2.06, 2 Mn 2.06

V   9.26 A^3/atom
Offset from the most stable computed form   0.0226 eV/atom
E_form   -2250 meV per atom
Electronic total energy   -6.75 eV per atom
Crystal system   tetragonal

---

(6)
First-principles (PBE+U) data for an optimized crystal structure of Li5MnCr3O8, as listed in the Materials Project.

a = 10.3870 Å, b = 6.0278 Å, c = 10.7360 Å
α = 90.00°, β = 108.85°, γ = 90.00°
With the nearest neighbours (Å) after each atom.
Space group C2/m (No. 12)
One atom of each set of equivalent atoms:
Li1 0.9998 0.2499 0.2500  6 O 2.23-2.26, 2 Li 2.33
Li2 0.0322 0.0000 0.0970  3 O 1.82, 1 Li 1.97
Li3 0.0326 0.5000 0.5969  3 O 1.81-1.82, 1 Li 1.97
Li4 0.2500 0.0000 0.2499  6 O 2.23-2.25, 2 Li 2.32-2.33
Mn1 0.2491 0.5000 0.2506  6 O 2.15-2.17
Cr1 0.0000 0.0000 0.5000  6 O 2.06-2.08
Cr2 0.0000 0.5000 0.0000  6 O 2.06-2.07
Cr3 0.2500 0.2500 0.0000  6 O 2.05-2.08
Cr4 0.2500 0.2500 0.5000  6 O 2.06-2.07
O1 0.1244 0.2393 0.6141  1 Li 1.82
O2 0.1247 0.2601 0.1141  1 Li 1.82
O3 0.1295 0.5000 0.8879  3 Cr 2.07-2.08, 3 Li 2.23
O4 0.1298 0.0000 0.3880  3 Cr 2.07-2.08, 3 Li 2.23-2.24
O5 0.1364 0.0000 0.8866  1 Li 1.82
O6 0.1357 0.5000 0.3869  1 Li 1.81

V   9.35 A^3/atom
Offset from the most stable computed form   0.0206 eV/atom
E_form   -2216 meV per atom
Electronic total energy   -6.57 eV per atom
Crystal system   monoclinic